This record from Materials Project describes a geometry-optimized TiP2Cl8O3 structure. The functional is PBE.

## Properties
ΔE_f = -1.590 eV/atom
uncorrected energy = -4.896 eV/atom

Unit cell a=16.017 b=9.034 c=12.946 alpha=54.56 beta=90.00 gamma=90.00
Atoms (fractional coordinates):
1 Ti 0.633 0.211 0.364
2 Ti 0.867 0.211 0.864
3 Ti 0.367 0.789 0.636
4 Ti 0.133 0.789 0.136
5 P 0.430 0.012 0.784
6 P 0.417 0.221 0.379
7 P 0.570 0.988 0.216
8 P 0.083 0.221 0.879
9 P 0.917 0.779 0.121
10 P 0.070 0.012 0.284
11 P 0.930 0.988 0.716
12 P 0.583 0.779 0.621
13 Cl 0.885 0.676 0.300
14 Cl 0.144 0.380 0.916
15 Cl 0.258 0.884 0.155
16 Cl 0.825 0.889 0.699
17 Cl 0.874 0.458 0.661
18 Cl 0.374 0.542 0.839
19 Cl 0.034 0.819 0.460
20 Cl 0.385 0.324 0.200
21 Cl 0.615 0.676 0.800
22 Cl 0.466 0.819 0.960
23 Cl 0.822 0.350 0.950
24 Cl 0.325 0.111 0.801
25 Cl 0.126 0.542 0.339
26 Cl 0.486 0.791 0.282
27 Cl 0.014 0.791 0.782
28 Cl 0.115 0.324 0.700
29 Cl 0.178 0.650 0.050
30 Cl 0.675 0.889 0.199
31 Cl 0.986 0.209 0.218
32 Cl 0.742 0.116 0.845
33 Cl 0.644 0.620 0.584
34 Cl 0.758 0.116 0.345
35 Cl 0.514 0.209 0.718
36 Cl 0.242 0.884 0.655
37 Cl 0.678 0.350 0.450
38 Cl 0.175 0.111 0.301
39 Cl 0.534 0.181 0.040
40 Cl 0.966 0.181 0.540
41 Cl 0.322 0.650 0.550
42 Cl 0.856 0.620 0.084
43 Cl 0.626 0.458 0.161
44 Cl 0.356 0.380 0.416
45 O 0.077 0.948 0.201
46 O 0.383 0.031 0.462
47 O 0.010 0.752 0.114
48 O 0.117 0.031 0.962
49 O 0.617 0.969 0.538
50 O 0.577 0.052 0.299
51 O 0.883 0.969 0.038
52 O 0.923 0.052 0.799
53 O 0.423 0.948 0.701
54 O 0.490 0.752 0.614
55 O 0.990 0.248 0.886
56 O 0.510 0.248 0.386

This record from Materials Project describes a geometry-optimized TiPCl7O structure. The functional is PBE.

## Properties
ΔE_f = -1.408 eV/atom
uncorrected energy = -4.459 eV/atom

Unit cell a=13.034 b=13.162 c=14.092 alpha=90.00 beta=90.00 gamma=90.00
Atoms (fractional coordinates):
1 Ti 0.937 0.866 0.001
2 Ti 0.063 0.366 0.499
3 Ti 0.063 0.134 0.999
4 Ti 0.563 0.134 0.501
5 Ti 0.937 0.634 0.501
6 Ti 0.563 0.366 0.001
7 Ti 0.437 0.866 0.499
8 Ti 0.437 0.634 0.999
9 P 0.685 0.067 0.716
10 P 0.185 0.433 0.284
11 P 0.815 0.567 0.716
12 P 0.815 0.933 0.216
13 P 0.685 0.433 0.216
14 P 0.315 0.567 0.784
15 P 0.185 0.067 0.784
16 P 0.315 0.933 0.284
17 Cl 0.229 0.170 0.024
18 Cl 0.773 0.186 0.743
19 Cl 0.880 0.970 0.339
20 Cl 0.400 0.048 0.542
21 Cl 0.781 0.955 0.685
22 Cl 0.771 0.670 0.476
23 Cl 0.100 0.548 0.542
24 Cl 0.120 0.470 0.161
25 Cl 0.490 0.721 0.432
26 Cl 0.510 0.279 0.568
27 Cl 0.510 0.170 0.354
28 Cl 0.490 0.779 0.932
29 Cl 0.773 0.314 0.243
30 Cl 0.010 0.221 0.432
31 Cl 0.120 0.030 0.661
32 Cl 0.271 0.830 0.524
33 Cl 0.990 0.830 0.854
34 Cl 0.219 0.045 0.315
35 Cl 0.010 0.330 0.646
36 Cl 0.729 0.330 0.976
37 Cl 0.510 0.330 0.854
38 Cl 0.600 0.952 0.458
39 Cl 0.271 0.670 0.024
40 Cl 0.227 0.814 0.257
41 Cl 0.281 0.955 0.815
42 Cl 0.990 0.779 0.568
43 Cl 0.219 0.455 0.815
44 Cl 0.229 0.330 0.524
45 Cl 0.900 0.048 0.958
46 Cl 0.227 0.686 0.757
47 Cl 0.100 0.952 0.042
48 Cl 0.771 0.830 0.976
49 Cl 0.719 0.455 0.685
50 Cl 0.781 0.545 0.185
51 Cl 0.380 0.530 0.661
52 Cl 0.490 0.670 0.146
53 Cl 0.719 0.045 0.185
54 Cl 0.880 0.530 0.839
55 Cl 0.281 0.545 0.315
56 Cl 0.729 0.170 0.476
57 Cl 0.620 0.470 0.339
58 Cl 0.990 0.670 0.354
59 Cl 0.600 0.548 0.958
60 Cl 0.380 0.970 0.161
61 Cl 0.490 0.830 0.646
62 Cl 0.010 0.170 0.146
63 Cl 0.010 0.279 0.932
64 Cl 0.727 0.686 0.743
65 Cl 0.510 0.221 0.068
66 Cl 0.990 0.721 0.068
67 Cl 0.273 0.314 0.257
68 Cl 0.900 0.452 0.458
69 Cl 0.273 0.186 0.757
70 Cl 0.727 0.814 0.243
71 Cl 0.400 0.452 0.042
72 Cl 0.620 0.030 0.839
73 O 0.894 0.915 0.142
74 O 0.606 0.085 0.642
75 O 0.106 0.085 0.858
76 O 0.894 0.585 0.642
77 O 0.606 0.415 0.142
78 O 0.394 0.585 0.858
79 O 0.106 0.415 0.358
80 O 0.394 0.915 0.358

This record from Materials Project describes a geometry-optimized U2PCl11O structure. The functional is PBE.

## Properties
ΔE_f = -1.566 eV/atom
uncorrected energy = -5.072 eV/atom

Unit cell a=8.517 b=8.616 c=23.597 alpha=90.00 beta=90.00 gamma=90.00
Atoms (fractional coordinates):
1 U 0.250 0.220 0.147
2 U 0.250 0.720 0.353
3 U 0.750 0.780 0.853
4 U 0.750 0.280 0.647
5 U 0.250 0.278 0.713
6 U 0.250 0.778 0.787
7 U 0.750 0.722 0.287
8 U 0.750 0.222 0.213
9 P 0.250 0.283 0.986
10 P 0.250 0.783 0.514
11 P 0.750 0.717 0.014
12 P 0.750 0.217 0.486
13 Cl 0.064 0.212 0.943
14 Cl 0.436 0.712 0.557
15 Cl 0.564 0.788 0.057
16 Cl 0.936 0.288 0.443
17 Cl 0.936 0.788 0.057
18 Cl 0.564 0.288 0.443
19 Cl 0.436 0.212 0.943
20 Cl 0.064 0.712 0.557
21 Cl 0.557 0.280 0.743
22 Cl 0.943 0.780 0.757
23 Cl 0.057 0.720 0.257
24 Cl 0.443 0.220 0.243
25 Cl 0.443 0.720 0.257
26 Cl 0.057 0.220 0.243
27 Cl 0.943 0.280 0.743
28 Cl 0.557 0.780 0.757
29 Cl 0.060 0.284 0.614
30 Cl 0.440 0.784 0.886
31 Cl 0.560 0.716 0.386
32 Cl 0.940 0.216 0.114
33 Cl 0.940 0.716 0.386
34 Cl 0.560 0.216 0.114
35 Cl 0.440 0.284 0.614
36 Cl 0.060 0.784 0.886
37 Cl 0.250 0.013 0.519
38 Cl 0.250 0.513 0.981
39 Cl 0.750 0.987 0.481
40 Cl 0.750 0.487 0.019
41 Cl 0.250 0.011 0.360
42 Cl 0.250 0.511 0.140
43 Cl 0.750 0.989 0.640
44 Cl 0.750 0.489 0.860
45 Cl 0.250 0.085 0.812
46 Cl 0.250 0.585 0.688
47 Cl 0.750 0.915 0.188
48 Cl 0.750 0.415 0.312
49 Cl 0.250 0.428 0.362
50 Cl 0.250 0.928 0.138
51 Cl 0.750 0.572 0.638
52 Cl 0.750 0.072 0.862
53 Cl 0.250 0.472 0.815
54 Cl 0.250 0.972 0.685
55 Cl 0.750 0.528 0.185
56 Cl 0.750 0.028 0.315
57 O 0.250 0.725 0.455
58 O 0.250 0.225 0.045
59 O 0.750 0.275 0.545
60 O 0.750 0.775 0.955

This record from Materials Project describes a geometry-optimized UPCl5O2 structure. The functional is PBE.

## Properties
ΔE_f = -1.889 eV/atom
uncorrected energy = -5.719 eV/atom

Unit cell a=8.588 b=9.239 c=24.716 alpha=90.00 beta=90.00 gamma=90.00
Atoms (fractional coordinates):
1 U 0.500 0.606 0.388
2 U 0.500 0.394 0.612
3 U 0.500 0.106 0.112
4 U 0.500 0.894 0.888
5 U 0.000 0.739 0.358
6 U 0.000 0.261 0.642
7 U 0.000 0.239 0.142
8 U 0.000 0.761 0.858
9 P 0.500 0.760 0.028
10 P 0.500 0.240 0.972
11 P 0.500 0.260 0.472
12 P 0.500 0.740 0.528
13 P 0.000 0.592 0.221
14 P 0.000 0.408 0.779
15 P 0.000 0.092 0.279
16 P 0.000 0.908 0.721
17 Cl 0.190 0.537 0.409
18 Cl 0.190 0.463 0.591
19 Cl 0.810 0.037 0.091
20 Cl 0.810 0.963 0.909
21 Cl 0.810 0.463 0.591
22 Cl 0.810 0.537 0.409
23 Cl 0.190 0.963 0.909
24 Cl 0.190 0.037 0.091
25 Cl 0.316 0.644 0.050
26 Cl 0.316 0.356 0.950
27 Cl 0.684 0.144 0.450
28 Cl 0.684 0.856 0.550
29 Cl 0.684 0.356 0.950
30 Cl 0.684 0.644 0.050
31 Cl 0.316 0.856 0.550
32 Cl 0.316 0.144 0.450
33 Cl 0.185 0.698 0.192
34 Cl 0.185 0.302 0.808
35 Cl 0.815 0.198 0.308
36 Cl 0.815 0.802 0.692
37 Cl 0.815 0.302 0.808
38 Cl 0.815 0.698 0.192
39 Cl 0.185 0.802 0.692
40 Cl 0.185 0.198 0.308
41 Cl 0.309 0.813 0.340
42 Cl 0.309 0.187 0.660
43 Cl 0.691 0.313 0.160
44 Cl 0.691 0.687 0.840
45 Cl 0.691 0.187 0.660
46 Cl 0.691 0.813 0.340
47 Cl 0.309 0.687 0.840
48 Cl 0.309 0.313 0.160
49 Cl 0.500 0.953 0.197
50 Cl 0.500 0.047 0.803
51 Cl 0.500 0.453 0.303
52 Cl 0.500 0.547 0.697
53 Cl 0.000 0.908 0.439
54 Cl 0.000 0.092 0.561
55 Cl 0.000 0.408 0.061
56 Cl 0.000 0.592 0.939
57 O 0.500 0.728 0.466
58 O 0.500 0.272 0.534
59 O 0.500 0.228 0.034
60 O 0.500 0.772 0.966
61 O 0.500 0.903 0.058
62 O 0.500 0.097 0.942
63 O 0.500 0.403 0.442
64 O 0.500 0.597 0.558
65 O 0.000 0.606 0.282
66 O 0.000 0.394 0.718
67 O 0.000 0.106 0.218
68 O 0.000 0.894 0.782
69 O 0.000 0.938 0.300
70 O 0.000 0.062 0.700
71 O 0.000 0.438 0.200
72 O 0.000 0.562 0.800

This record from Materials Project describes a geometry-optimized Pb7Cl2O8 structure. The functional is PBE.

## Properties
ΔE_f = -1.288 eV/atom
uncorrected energy = -5.039 eV/atom

Unit cell a=20.136 b=5.928 c=7.293 alpha=66.85 beta=90.00 gamma=90.00
Atoms (fractional coordinates):
1 Pb 0.996 0.964 0.345
2 Pb 0.496 0.036 0.655
3 Pb 0.035 0.603 0.051
4 Pb 0.535 0.397 0.949
5 Pb 0.866 0.170 0.999
6 Pb 0.366 0.830 0.001
7 Pb 0.864 0.497 0.348
8 Pb 0.364 0.503 0.652
9 Pb 0.146 0.400 0.491
10 Pb 0.646 0.600 0.509
11 Pb 0.164 0.015 0.181
12 Pb 0.664 0.985 0.819
13 Pb 0.225 0.758 0.798
14 Pb 0.725 0.242 0.202
15 Cl 0.063 0.236 0.821
16 Cl 0.563 0.764 0.179
17 Cl 0.932 0.799 0.673
18 Cl 0.432 0.201 0.327
19 O 0.074 0.723 0.315
20 O 0.574 0.277 0.685
21 O 0.077 0.214 0.300
22 O 0.577 0.786 0.700
23 O 0.936 0.290 0.201
24 O 0.436 0.710 0.799
25 O 0.936 0.811 0.176
26 O 0.436 0.189 0.824
27 O 0.305 0.509 0.911
28 O 0.805 0.491 0.089
29 O 0.289 0.055 0.769
30 O 0.789 0.945 0.231
31 O 0.161 0.688 0.043
32 O 0.661 0.312 0.957
33 O 0.194 0.754 0.522
34 O 0.694 0.246 0.478

This record from Materials Project describes a geometry-optimized Pb13Cl6O10 structure. The functional is PBE.

## Properties
ΔE_f = -1.418 eV/atom
uncorrected energy = -4.934 eV/atom

Unit cell a=8.916 b=8.916 c=23.795 alpha=82.75 beta=82.75 gamma=46.83
Atoms (fractional coordinates):
1 Pb 0.674 0.117 0.791
2 Pb 0.618 0.733 0.847
3 Pb 0.006 0.160 0.867
4 Pb 0.840 0.994 0.633
5 Pb 0.950 0.778 0.917
6 Pb 0.117 0.674 0.291
7 Pb 0.292 0.803 0.989
8 Pb 0.166 0.366 0.437
9 Pb 0.994 0.840 0.133
10 Pb 0.236 0.764 0.750
11 Pb 0.803 0.292 0.489
12 Pb 0.778 0.950 0.417
13 Pb 0.834 0.634 0.563
14 Pb 0.366 0.166 0.937
15 Pb 0.160 0.006 0.367
16 Pb 0.634 0.834 0.063
17 Pb 0.326 0.883 0.209
18 Pb 0.883 0.326 0.709
19 Pb 0.197 0.708 0.511
20 Pb 0.733 0.618 0.347
21 Pb 0.708 0.197 0.011
22 Pb 0.222 0.050 0.583
23 Pb 0.050 0.222 0.083
24 Pb 0.267 0.382 0.653
25 Pb 0.382 0.267 0.153
26 Pb 0.764 0.236 0.250
27 Cl 0.494 0.181 0.544
28 Cl 0.009 0.350 0.253
29 Cl 0.429 0.506 0.365
30 Cl 0.494 0.571 0.135
31 Cl 0.350 0.009 0.753
32 Cl 0.571 0.494 0.635
33 Cl 0.506 0.819 0.456
34 Cl 0.650 0.991 0.247
35 Cl 0.506 0.429 0.865
36 Cl 0.991 0.650 0.747
37 Cl 0.181 0.494 0.044
38 Cl 0.819 0.506 0.956
39 O 0.985 0.968 0.817
40 O 0.982 0.674 0.482
41 O 0.002 0.018 0.558
42 O 0.950 0.331 0.402
43 O 0.968 0.985 0.317
44 O 0.998 0.982 0.442
45 O 0.032 0.015 0.683
46 O 0.326 0.018 0.018
47 O 0.331 0.950 0.902
48 O 0.018 0.002 0.058
49 O 0.661 0.948 0.864
50 O 0.948 0.661 0.364
51 O 0.674 0.982 0.982
52 O 0.052 0.339 0.636
53 O 0.982 0.998 0.942
54 O 0.669 0.050 0.098
55 O 0.015 0.032 0.183
56 O 0.050 0.669 0.598
57 O 0.339 0.052 0.136
58 O 0.018 0.326 0.518

This record from Materials Project describes a geometry-optimized Pb7Cl2O8 structure. The functional is PBE.

## Properties
ΔE_f = -1.271 eV/atom
uncorrected energy = -5.022 eV/atom

Unit cell a=20.327 b=5.974 c=7.188 alpha=66.75 beta=90.00 gamma=90.00
Atoms (fractional coordinates):
1 Pb 0.003 0.689 0.346
2 Pb 0.503 0.311 0.654
3 Pb 0.972 0.332 0.047
4 Pb 0.472 0.668 0.953
5 Pb 0.127 0.856 0.997
6 Pb 0.627 0.144 0.003
7 Pb 0.134 0.157 0.369
8 Pb 0.634 0.843 0.631
9 Pb 0.849 0.197 0.458
10 Pb 0.349 0.803 0.542
11 Pb 0.840 0.832 0.155
12 Pb 0.340 0.168 0.845
13 Pb 0.772 0.441 0.797
14 Pb 0.272 0.559 0.203
15 Cl 0.934 0.976 0.805
16 Cl 0.434 0.024 0.195
17 Cl 0.070 0.537 0.669
18 Cl 0.570 0.463 0.331
19 O 0.928 0.956 0.299
20 O 0.428 0.044 0.701
21 O 0.927 0.471 0.287
22 O 0.427 0.529 0.713
23 O 0.064 0.517 0.194
24 O 0.564 0.483 0.806
25 O 0.063 0.016 0.181
26 O 0.563 0.984 0.819
27 O 0.709 0.675 0.865
28 O 0.209 0.325 0.135
29 O 0.698 0.212 0.757
30 O 0.198 0.788 0.243
31 O 0.826 0.261 0.068
32 O 0.326 0.739 0.932
33 O 0.820 0.551 0.517
34 O 0.320 0.449 0.483

Please write out number 6 again, unchanged.
This record from Materials Project describes a geometry-optimized Pb13Cl6O10 structure. The functional is PBE.

## Properties
ΔE_f = -1.418 eV/atom
uncorrected energy = -4.934 eV/atom

Unit cell a=8.916 b=8.916 c=23.795 alpha=82.75 beta=82.75 gamma=46.83
Atoms (fractional coordinates):
1 Pb 0.674 0.117 0.791
2 Pb 0.618 0.733 0.847
3 Pb 0.006 0.160 0.867
4 Pb 0.840 0.994 0.633
5 Pb 0.950 0.778 0.917
6 Pb 0.117 0.674 0.291
7 Pb 0.292 0.803 0.989
8 Pb 0.166 0.366 0.437
9 Pb 0.994 0.840 0.133
10 Pb 0.236 0.764 0.750
11 Pb 0.803 0.292 0.489
12 Pb 0.778 0.950 0.417
13 Pb 0.834 0.634 0.563
14 Pb 0.366 0.166 0.937
15 Pb 0.160 0.006 0.367
16 Pb 0.634 0.834 0.063
17 Pb 0.326 0.883 0.209
18 Pb 0.883 0.326 0.709
19 Pb 0.197 0.708 0.511
20 Pb 0.733 0.618 0.347
21 Pb 0.708 0.197 0.011
22 Pb 0.222 0.050 0.583
23 Pb 0.050 0.222 0.083
24 Pb 0.267 0.382 0.653
25 Pb 0.382 0.267 0.153
26 Pb 0.764 0.236 0.250
27 Cl 0.494 0.181 0.544
28 Cl 0.009 0.350 0.253
29 Cl 0.429 0.506 0.365
30 Cl 0.494 0.571 0.135
31 Cl 0.350 0.009 0.753
32 Cl 0.571 0.494 0.635
33 Cl 0.506 0.819 0.456
34 Cl 0.650 0.991 0.247
35 Cl 0.506 0.429 0.865
36 Cl 0.991 0.650 0.747
37 Cl 0.181 0.494 0.044
38 Cl 0.819 0.506 0.956
39 O 0.985 0.968 0.817
40 O 0.982 0.674 0.482
41 O 0.002 0.018 0.558
42 O 0.950 0.331 0.402
43 O 0.968 0.985 0.317
44 O 0.998 0.982 0.442
45 O 0.032 0.015 0.683
46 O 0.326 0.018 0.018
47 O 0.331 0.950 0.902
48 O 0.018 0.002 0.058
49 O 0.661 0.948 0.864
50 O 0.948 0.661 0.364
51 O 0.674 0.982 0.982
52 O 0.052 0.339 0.636
53 O 0.982 0.998 0.942
54 O 0.669 0.050 0.098
55 O 0.015 0.032 0.183
56 O 0.050 0.669 0.598
57 O 0.339 0.052 0.136
58 O 0.018 0.326 0.518

- Which value of ΔE_f does entry 2 give?
  -1.408 eV/atom